Entry 1:
Computed, not measured: PdW after structural relaxation at the PBE-GGA level of DFT.

Total magnetic moment, μB per atom: 0.0000

Unit cell a=4.9032 b=4.9032 c=4.9032 alpha=33.08 beta=33.08 gamma=33.08
Fractional coordinates of all 2 atoms:
Pd 0.0000 0.0000 0.0000
W 0.5000 0.5000 0.5000

Entry 2:
Computed, not measured: Li2MgPb after structural relaxation at the PBE-GGA level of DFT.

Unit cell a=4.8831 b=4.8831 c=4.8831 alpha=60.00 beta=60.00 gamma=60.00
Fractional coordinates of all 4 atoms:
Li 0.2500 0.2500 0.2500
Li 0.5000 0.5000 0.5000
Pb 0.0000 0.0000 0.0000
Mg 0.7500 0.7500 0.7500

Entry 3:
Computed, not measured: HoSbPd after structural relaxation at the PBE-GGA level of DFT.

Total magnetic moment, μB per atom: 0.0004

Unit cell a=4.7593 b=4.7593 c=4.7593 alpha=60.00 beta=60.00 gamma=60.00
Fractional coordinates of all 3 atoms:
Sb 0.2500 0.2500 0.2500
Pd 0.5000 0.5000 0.5000
Ho 0.0000 0.0000 0.0000

Entry 4:
Computed, not measured: ReN2 after structural relaxation at the PBE-GGA level of DFT.

Total magnetic moment, μB per atom: 0.0000
Corrected total energy (MP2020 scheme), eV for the cell shown: -58.3

Unit cell a=4.8128 b=2.9202 c=5.5986 alpha=59.89 beta=90.00 gamma=90.00
Fractional coordinates of all 6 atoms:
N 0.9598 0.9289 0.7913
N 0.5463 0.4887 0.2035
N 0.0402 0.9289 0.2913
N 0.4537 0.4887 0.7035
Re 0.7518 0.1124 0.0162
Re 0.2482 0.1124 0.5162

DFT formation energy (eV per formula unit)
0.3 -1.1 -2.2 0.0